The following is a r2SCAN calculation of a relaxed Ba8Mn8O23 crystal, from the Materials Project. Values from VASP.

The structure in Quantum ESPRESSO input format:
```
&SYSTEM
  ibrav = 0, nat = 39, ntyp = 3
/
ATOMIC_SPECIES
Mn 54.94 Mn.upf
O 16.00 O.upf
Ba 137.33 Ba.upf
CELL_PARAMETERS angstrom
2.851 -4.976 0.000
2.851 4.976 0.000
0.000 0.000 19.076
ATOMIC_POSITIONS crystal
Mn 0.999 0.001 0.564
Mn 0.998 0.002 0.176
Mn 0.996 0.004 0.693
Mn 0.328 0.672 0.928
Mn 0.998 0.002 0.824
Mn 0.996 0.004 0.307
Mn 0.999 0.001 0.436
Mn 0.328 0.672 0.072
O 0.669 0.826 0.878
O 0.702 0.853 0.627
O 0.145 0.855 0.628
O 0.848 0.152 0.246
O 0.289 0.151 0.244
O 0.157 0.843 0.125
O 0.851 0.704 0.500
O 0.669 0.826 0.122
O 0.849 0.711 0.756
O 0.157 0.843 0.875
O 0.702 0.853 0.373
O 0.147 0.298 0.627
O 0.289 0.151 0.756
O 0.145 0.855 0.372
O 0.296 0.149 0.500
O 0.848 0.152 0.754
O 0.063 0.504 0.000
O 0.849 0.711 0.244
O 0.852 0.148 0.500
O 0.147 0.298 0.373
O 0.496 0.937 0.000
O 0.174 0.331 0.122
O 0.174 0.331 0.878
Ba 0.331 0.669 0.744
Ba 0.670 0.330 0.863
Ba 0.666 0.334 0.377
Ba 0.670 0.330 0.137
Ba 0.333 0.667 0.500
Ba 0.331 0.669 0.256
Ba 0.666 0.334 0.623
Ba 0.000 0.000 0.000
```

Output
As for the theoretical density: 5.849 Mg/m³. The calculation puts the size of the total moment at 26.0 μB per formula unit. As for the formation energy from the elements: -2.5934 eV/atom. For the raw total energy, the calculation gives -567.974 eV per formula unit.

***

The following is a r2SCAN calculation of a relaxed Ba2MnO3 crystal, from the Materials Project. Values from VASP.

The structure in Quantum ESPRESSO input format:
```
&SYSTEM
  ibrav = 0, nat = 24, ntyp = 3
/
ATOMIC_SPECIES
Mn 54.94 Mn.upf
O 16.00 O.upf
Ba 137.33 Ba.upf
CELL_PARAMETERS angstrom
-5.888 0.000 0.011
-2.944 -5.810 0.006
-0.745 0.000 12.752
ATOMIC_POSITIONS crystal
Mn 0.965 0.994 0.066
Mn 0.519 0.993 0.238
Mn 0.512 0.007 0.738
Mn 0.959 0.006 0.566
O 0.234 0.010 0.652
O 0.839 0.798 0.652
O 0.565 0.803 0.867
O 0.727 0.654 0.270
O 0.381 0.346 0.770
O 0.637 0.202 0.152
O 0.912 0.199 0.938
O 0.751 0.344 0.535
O 0.368 0.197 0.367
O 0.243 0.990 0.152
O 0.095 0.656 0.035
O 0.111 0.801 0.438
Ba 0.213 0.588 0.251
Ba 0.372 0.211 0.977
Ba 0.265 0.410 0.553
Ba 0.675 0.590 0.053
Ba 0.583 0.789 0.477
Ba 0.895 0.209 0.327
Ba 0.801 0.412 0.751
Ba 0.104 0.791 0.827
```

Output
As for the theoretical density: 5.750 Mg/m³. The calculation puts the size of the total moment at 5.0 μB per formula unit. As for the formation energy from the elements: -2.4997 eV/atom. For the raw total energy, the calculation gives -100.599 eV per formula unit.

***

The following is a r2SCAN calculation of a relaxed BaSrSmMnO6 crystal, from the Materials Project. Values from VASP.

The structure in Quantum ESPRESSO input format:
```
&SYSTEM
  ibrav = 0, nat = 10, ntyp = 5
/
ATOMIC_SPECIES
O 16.00 O.upf
Ba 137.33 Ba.upf
Sr 87.62 Sr.upf
Mn 54.94 Mn.upf
Sm 150.36 Sm.upf
CELL_PARAMETERS angstrom
0.000 -4.137 -4.137
4.137 0.000 -4.137
4.137 -4.137 0.000
ATOMIC_POSITIONS crystal
O 0.227 0.773 0.773
O 0.227 0.773 0.227
O 0.773 0.227 0.773
O 0.773 0.773 0.227
O 0.773 0.227 0.227
O 0.227 0.227 0.773
Ba 0.250 0.250 0.250
Sr 0.750 0.750 0.750
Mn 0.000 0.000 0.000
Sm 0.500 0.500 0.500
```

Output
As for the theoretical density: 6.169 Mg/m³. The calculation puts the size of the total moment at 2.0 μB per formula unit. As for the formation energy from the elements: -2.7503 eV/atom. For the raw total energy, the calculation gives -149.399 eV per formula unit.

***

The following is a r2SCAN calculation of a relaxed Ba2MnS3 crystal, from the Materials Project. Values from VASP.

The structure in Quantum ESPRESSO input format:
```
&SYSTEM
  ibrav = 0, nat = 24, ntyp = 3
/
ATOMIC_SPECIES
Ba 137.33 Ba.upf
Mn 54.94 Mn.upf
S 32.06 S.upf
CELL_PARAMETERS angstrom
-2.310 -3.490 1.167
3.589 0.348 8.141
-12.836 10.242 5.221
ATOMIC_POSITIONS crystal
Ba 0.250 0.917 0.214
Ba 0.750 0.243 0.044
Ba 0.250 0.257 0.544
Ba 0.250 0.417 0.286
Ba 0.750 0.743 0.456
Ba 0.750 0.083 0.786
Ba 0.250 0.757 0.956
Ba 0.750 0.583 0.714
Mn 0.250 0.872 0.633
Mn 0.250 0.372 0.867
Mn 0.750 0.128 0.367
Mn 0.750 0.628 0.133
S 0.750 0.370 0.427
S 0.250 0.505 0.101
S 0.750 0.495 0.899
S 0.250 0.821 0.771
S 0.750 0.870 0.073
S 0.250 0.321 0.729
S 0.250 0.630 0.573
S 0.750 0.995 0.601
S 0.750 0.679 0.271
S 0.750 0.179 0.229
S 0.250 0.005 0.399
S 0.250 0.130 0.927
```

Output
As for the theoretical density: 4.242 Mg/m³. The calculation puts the size of the total moment at 5.0 μB per formula unit. As for the formation energy from the elements: -1.9759 eV/atom. For the raw total energy, the calculation gives -103.640 eV per formula unit.

***

The following is a r2SCAN calculation of a relaxed Ba3MoN4 crystal, from the Materials Project. Values from VASP.

The structure in Quantum ESPRESSO input format:
```
&SYSTEM
  ibrav = 0, nat = 64, ntyp = 3
/
ATOMIC_SPECIES
Ba 137.33 Ba.upf
N 14.01 N.upf
Mo 95.94 Mo.upf
CELL_PARAMETERS angstrom
10.450 0.000 0.000
0.000 10.932 0.000
0.000 0.000 12.230
ATOMIC_POSITIONS crystal
Ba 0.376 0.529 0.143
Ba 0.124 0.529 0.643
Ba 0.800 0.778 0.881
Ba 0.876 0.971 0.143
Ba 0.468 0.126 0.894
Ba 0.124 0.029 0.857
Ba 0.968 0.874 0.606
Ba 0.200 0.222 0.119
Ba 0.968 0.374 0.894
Ba 0.200 0.722 0.381
Ba 0.624 0.971 0.643
Ba 0.032 0.126 0.394
Ba 0.700 0.778 0.381
Ba 0.532 0.874 0.106
Ba 0.532 0.374 0.394
Ba 0.032 0.626 0.106
Ba 0.376 0.029 0.357
Ba 0.468 0.626 0.606
Ba 0.876 0.471 0.357
Ba 0.700 0.278 0.119
Ba 0.300 0.722 0.881
Ba 0.300 0.222 0.619
Ba 0.800 0.278 0.619
Ba 0.624 0.471 0.857
N 0.189 0.506 0.963
N 0.425 0.848 0.516
N 0.878 0.998 0.781
N 0.878 0.498 0.719
N 0.425 0.348 0.984
N 0.811 0.994 0.463
N 0.378 0.002 0.719
N 0.575 0.652 0.016
N 0.575 0.152 0.484
N 0.311 0.506 0.463
N 0.622 0.998 0.281
N 0.710 0.726 0.677
N 0.290 0.274 0.323
N 0.689 0.494 0.537
N 0.311 0.006 0.037
N 0.790 0.726 0.177
N 0.122 0.002 0.219
N 0.075 0.348 0.484
N 0.689 0.994 0.963
N 0.378 0.502 0.781
N 0.210 0.774 0.677
N 0.925 0.152 0.984
N 0.189 0.006 0.537
N 0.710 0.226 0.823
N 0.622 0.498 0.219
N 0.790 0.226 0.323
N 0.075 0.848 0.016
N 0.290 0.774 0.177
N 0.122 0.502 0.281
N 0.925 0.652 0.516
N 0.811 0.494 0.037
N 0.210 0.274 0.823
Mo 0.199 0.904 0.114
Mo 0.699 0.096 0.386
Mo 0.199 0.404 0.386
Mo 0.699 0.596 0.114
Mo 0.801 0.596 0.614
Mo 0.801 0.096 0.886
Mo 0.301 0.404 0.886
Mo 0.301 0.904 0.614
```

Output
As for the theoretical density: 5.362 Mg/m³. The calculation puts the size of the total moment at 0.0 μB per formula unit. As for the formation energy from the elements: -1.0468 eV/atom. For the raw total energy, the calculation gives -150.460 eV per formula unit.

***

The following is a r2SCAN calculation of a relaxed Ba7Sr5Mo4N16 crystal, from the Materials Project. Values from VASP.

The structure in Quantum ESPRESSO input format:
```
&SYSTEM
  ibrav = 0, nat = 64, ntyp = 4
/
ATOMIC_SPECIES
N 14.01 N.upf
Mo 95.94 Mo.upf
Sr 87.62 Sr.upf
Ba 137.33 Ba.upf
CELL_PARAMETERS angstrom
10.649 0.000 0.000
0.000 10.038 0.001
0.000 0.028 12.045
ATOMIC_POSITIONS crystal
N 0.270 0.949 0.328
N 0.660 0.322 0.518
N 0.000 0.875 0.723
N 0.843 0.823 0.514
N 0.993 0.433 0.464
N 0.275 0.055 0.818
N 0.496 0.363 0.721
N 0.500 0.125 0.277
N 0.160 0.678 0.482
N 0.006 0.068 0.531
N 0.506 0.071 0.965
N 0.504 0.880 0.772
N 0.160 0.325 0.982
N 0.995 0.570 0.966
N 0.493 0.567 0.536
N 0.841 0.175 0.023
N 0.506 0.932 0.469
N 0.723 0.447 0.183
N 0.722 0.549 0.683
N 0.660 0.675 0.018
N 0.495 0.430 0.034
N 0.006 0.929 0.035
N 0.996 0.637 0.279
N 0.770 0.051 0.672
N 0.775 0.945 0.182
N 0.495 0.627 0.222
N 0.223 0.553 0.817
N 0.341 0.825 0.977
N 0.004 0.120 0.228
N 0.343 0.177 0.486
N 0.995 0.373 0.778
N 0.222 0.451 0.317
Mo 0.596 0.547 0.116
Mo 0.404 0.957 0.882
Mo 0.903 0.953 0.612
Mo 0.904 0.043 0.118
Mo 0.096 0.551 0.384
Mo 0.596 0.449 0.616
Mo 0.096 0.453 0.884
Mo 0.403 0.047 0.388
Sr 0.876 0.283 0.603
Sr 0.376 0.717 0.397
Sr 0.125 0.217 0.395
Sr 0.035 0.873 0.363
Sr 0.535 0.127 0.637
Sr 0.378 0.283 0.895
Sr 0.123 0.783 0.894
Sr 0.623 0.217 0.106
Sr 0.878 0.717 0.105
Sr 0.625 0.783 0.605
Ba 0.272 0.558 0.115
Ba 0.029 0.123 0.855
Ba 0.272 0.437 0.615
Ba 0.529 0.877 0.145
Ba 0.730 0.056 0.384
Ba 0.728 0.947 0.880
Ba 0.230 0.944 0.616
Ba 0.971 0.375 0.149
Ba 0.228 0.053 0.120
Ba 0.772 0.442 0.885
Ba 0.472 0.377 0.353
Ba 0.471 0.625 0.851
Ba 0.972 0.623 0.647
Ba 0.772 0.563 0.385
```

Output
As for the theoretical density: 5.177 Mg/m³. The calculation puts the size of the total moment at 0.0 μB per formula unit. As for the formation energy from the elements: -1.1113 eV/atom. For the raw total energy, the calculation gives -547.136 eV per formula unit.

***

The following is a r2SCAN calculation of a relaxed BaMo2P3O14 crystal, from the Materials Project. Values from VASP.

The structure in Quantum ESPRESSO input format:
```
&SYSTEM
  ibrav = 0, nat = 40, ntyp = 4
/
ATOMIC_SPECIES
O 16.00 O.upf
Ba 137.33 Ba.upf
Mo 95.94 Mo.upf
P 30.97 P.upf
CELL_PARAMETERS angstrom
-6.526 -4.783 0.964
2.345 -7.618 -1.689
1.624 -2.516 8.120
ATOMIC_POSITIONS crystal
O 0.968 0.561 0.269
O 0.369 0.092 0.021
O 0.003 0.203 0.760
O 0.408 0.414 0.922
O 0.055 0.496 0.778
O 0.722 0.402 0.385
O 0.276 0.617 0.134
O 0.092 0.369 0.521
O 0.561 0.968 0.769
O 0.869 0.656 0.989
O 0.249 0.298 0.227
O 0.298 0.249 0.727
O 0.636 0.745 0.242
O 0.818 0.954 0.249
O 0.414 0.408 0.422
O 0.402 0.722 0.885
O 0.954 0.818 0.749
O 0.656 0.869 0.489
O 0.617 0.276 0.634
O 0.313 0.923 0.614
O 0.696 0.141 0.937
O 0.203 0.003 0.260
O 0.508 0.596 0.574
O 0.596 0.508 0.074
O 0.141 0.696 0.437
O 0.496 0.055 0.278
O 0.923 0.313 0.114
O 0.745 0.636 0.742
Ba 0.047 0.955 0.001
Ba 0.955 0.047 0.501
Mo 0.181 0.516 0.346
Mo 0.516 0.181 0.846
Mo 0.506 0.805 0.672
Mo 0.805 0.506 0.172
P 0.112 0.321 0.698
P 0.661 0.896 0.308
P 0.321 0.112 0.198
P 0.424 0.562 0.005
P 0.562 0.424 0.505
P 0.896 0.661 0.808
```

Output
As for the theoretical density: 3.960 Mg/m³. The calculation puts the size of the total moment at 1.0 μB per formula unit. As for the formation energy from the elements: -2.4776 eV/atom. For the raw total energy, the calculation gives -238.818 eV per formula unit.

***

The following is a r2SCAN calculation of a relaxed BaMo2P4O16 crystal, from the Materials Project. Values from VASP.

The structure in Quantum ESPRESSO input format:
```
&SYSTEM
  ibrav = 0, nat = 46, ntyp = 4
/
ATOMIC_SPECIES
O 16.00 O.upf
Mo 95.94 Mo.upf
Ba 137.33 Ba.upf
P 30.97 P.upf
CELL_PARAMETERS angstrom
-2.858 -1.273 7.285
-6.030 -4.281 -3.113
-0.543 -12.083 -2.324
ATOMIC_POSITIONS crystal
O 0.695 0.720 0.140
O 0.456 0.495 0.163
O 0.044 0.495 0.663
O 0.029 0.205 0.189
O 0.001 0.139 0.564
O 0.144 0.088 0.764
O 0.624 0.382 0.420
O 0.252 0.885 0.180
O 0.788 0.575 0.512
O 0.305 0.280 0.860
O 0.529 0.795 0.311
O 0.248 0.885 0.680
O 0.124 0.618 0.080
O 0.752 0.115 0.320
O 0.876 0.382 0.920
O 0.195 0.280 0.360
O 0.376 0.618 0.580
O 0.471 0.205 0.689
O 0.712 0.575 0.012
O 0.999 0.861 0.436
O 0.748 0.115 0.820
O 0.499 0.139 0.064
O 0.501 0.861 0.936
O 0.856 0.912 0.236
O 0.644 0.912 0.736
O 0.805 0.720 0.640
O 0.956 0.505 0.337
O 0.544 0.505 0.837
O 0.288 0.425 0.988
O 0.212 0.425 0.488
O 0.356 0.088 0.264
O 0.971 0.795 0.811
Mo 0.777 0.616 0.838
Mo 0.277 0.384 0.662
Mo 0.723 0.616 0.338
Mo 0.223 0.384 0.162
Ba 0.500 0.000 0.500
Ba 0.000 0.000 0.000
P 0.398 0.963 0.211
P 0.102 0.963 0.711
P 0.602 0.037 0.789
P 0.092 0.346 0.433
P 0.408 0.346 0.933
P 0.898 0.037 0.289
P 0.908 0.654 0.567
P 0.592 0.654 0.067
```

Output
As for the theoretical density: 3.870 Mg/m³. The calculation puts the size of the total moment at 2.0 μB per formula unit. As for the formation energy from the elements: -2.4569 eV/atom. For the raw total energy, the calculation gives -266.721 eV per formula unit.

***

The following is a r2SCAN calculation of a relaxed Ba2YbMoO6 crystal, from the Materials Project. Values from VASP.

The structure in Quantum ESPRESSO input format:
```
&SYSTEM
  ibrav = 0, nat = 10, ntyp = 4
/
ATOMIC_SPECIES
O 16.00 O.upf
Mo 95.94 Mo.upf
Ba 137.33 Ba.upf
Yb 173.04 Yb.upf
CELL_PARAMETERS angstrom
0.000 4.167 4.167
4.167 0.000 4.167
4.167 4.167 0.000
ATOMIC_POSITIONS crystal
O 0.237 0.763 0.237
O 0.763 0.237 0.237
O 0.763 0.237 0.763
O 0.237 0.763 0.763
O 0.763 0.763 0.237
O 0.237 0.237 0.763
Mo 0.000 0.000 0.000
Ba 0.750 0.750 0.750
Ba 0.250 0.250 0.250
Yb 0.500 0.500 0.500
```

Output
As for the theoretical density: 7.338 Mg/m³. The calculation puts the size of the total moment at 1.0 μB per formula unit. As for the formation energy from the elements: -3.1159 eV/atom. For the raw total energy, the calculation gives -182.594 eV per formula unit.